No. 1
# La3S3N, relaxed, DFT PBE
# ΔH_f (0 K): -2.315 eV/atom
data_La3S3N
_cell_length_a 12.228
_cell_length_b 4.173
_cell_length_c 13.257
_cell_angle_alpha 90.00
_cell_angle_beta 90.00
_cell_angle_gamma 90.00
_space_group_name_H-M_alt 'P n m a'
_space_group_IT_number 62
loop_
_space_group_symop_operation_xyz
'x,y,z'
'-x,-y,-z'
'-x+1/2,-y,z+1/2'
'x+1/2,y,-z+1/2'
'x+1/2,-y+1/2,-z+1/2'
'-x+1/2,y+1/2,z+1/2'
'-x,y+1/2,-z'
'x,-y+1/2,z'
loop_
_atom_site_label
_atom_site_type_symbol
_atom_site_fract_x
_atom_site_fract_y
_atom_site_fract_z
La1 La 0.033 0.250 0.152
La2 La 0.095 0.250 0.625
La3 La 0.230 0.250 0.870
S1 S 0.072 0.250 0.393
S2 S 0.146 0.750 0.002
S3 S 0.234 0.750 0.706
N1 N 0.055 0.250 0.798

***

No. 2
# Sr2YTi2TlO7, relaxed, DFT PBE
# ΔH_f (0 K): -3.025 eV/atom
data_Sr2YTi2TlO7
_cell_length_a 3.910
_cell_length_b 3.910
_cell_length_c 12.829
_cell_angle_alpha 90.00
_cell_angle_beta 90.00
_cell_angle_gamma 90.00
_space_group_name_H-M_alt 'P 4/m m m'
_space_group_IT_number 123
_space_group_name_Hall '-P 4 2'
loop_
_atom_site_label
_atom_site_type_symbol
_atom_site_fract_x
_atom_site_fract_y
_atom_site_fract_z
Sr1 Sr 0.000 0.000 0.186
Y1 Y 0.000 0.000 0.500
Ti1 Ti 0.500 0.500 0.362
Tl1 Tl 0.500 0.500 0.000
O1 O 0.000 0.000 0.000
O2 O 0.000 0.500 0.385
O3 O 0.500 0.500 0.213

***

No. 3
# CsGa7, relaxed, DFT PBE
# ΔH_f (0 K): -0.108 eV/atom
data_CsGa7
_cell_length_a 6.7712
_cell_length_b 6.7712
_cell_length_c 29.2468
_cell_angle_alpha 90.00
_cell_angle_beta 90.00
_cell_angle_gamma 120.00
_space_group_name_H-M_alt 'R -3 m'
_space_group_IT_number 166
_space_group_name_Hall '-R 3 2"'
loop_
_atom_site_label
_atom_site_type_symbol
_atom_site_fract_x
_atom_site_fract_y
_atom_site_fract_z
Cs1 Cs 0.0000 0.0000 0.1948
Ga1 Ga 0.0000 0.0000 0.4552
Ga2 Ga 0.0542 0.5271 0.7424
Ga3 Ga 0.0664 0.5332 0.3513

***

No. 4
# AcEuMg2, relaxed, DFT PBE
# ΔH_f (0 K): -0.077 eV/atom
data_AcEuMg2
_cell_length_a 8.167
_cell_length_b 8.167
_cell_length_c 8.167
_cell_angle_alpha 90.00
_cell_angle_beta 90.00
_cell_angle_gamma 90.00
_space_group_name_H-M_alt 'F m -3 m'
_space_group_IT_number 225
_space_group_name_Hall '-F 4 2 3'
loop_
_atom_site_label
_atom_site_type_symbol
_atom_site_fract_x
_atom_site_fract_y
_atom_site_fract_z
Ac1 Ac 0.000 0.000 0.000
Eu1 Eu 0.000 0.000 0.500
Mg1 Mg 0.250 0.250 0.250

***

no.,raw total energy (eV/cell)
1,-199.6
2,-97.1
3,-137.7
4,-71.5